No. 1
The following is a PBE-GGA calculation of Li3Tc after structural relaxation, from the Materials Project.

Output
Formation energy in eV/atom: 0.6145
Total energy in eV per atom: -3.41
Offset from the most stable computed form in meV/atom: 0.0
Density in g/cm3: 3.3
Space-group type: Fm-3m

Cell: 4.3874 4.3874 4.3874 Å, 60.00 60.00 60.00°
Positions (direct):
Li 0.0000 0.0000 0.0000
Li 0.2500 0.2500 0.2500
Li 0.7500 0.7500 0.7500
Tc 0.5000 0.5000 0.5000



No. 2
The following is a PBE-GGA calculation of Ba10Er5Cu15O34 after structural relaxation, from the Materials Project.

Output
Formation energy in eV/atom: -2.2041
Total energy in eV per atom: -6.09
Density in g/cm3: 6.9
Space-group type: P-1

Cell: 8.6182 8.7453 12.4479 Å, 97.77 105.91 91.10°
Positions (direct):
Ba 0.0283 0.2643 0.3185
Ba 0.1736 0.3369 0.6818
Ba 0.2179 0.8591 0.3113
Ba 0.3687 0.9346 0.6885
Ba 0.4272 0.4636 0.3180
Ba 0.5728 0.5364 0.6820
Ba 0.6313 0.0654 0.3115
Ba 0.7821 0.1409 0.6887
Ba 0.8264 0.6631 0.3182
Ba 0.9717 0.7356 0.6815
Er 0.0998 0.7992 0.9988
Er 0.2997 0.4003 0.0000
Er 0.5000 0.0000 0.0000
Er 0.7003 0.5997 0.0000
Er 0.9002 0.2008 0.0012
Cu 0.0000 0.0000 0.5000
Cu 0.0567 0.5277 0.1418
Cu 0.1432 0.0719 0.8589
Cu 0.1990 0.6040 0.5000
Cu 0.2562 0.1276 0.1402
Cu 0.3434 0.6709 0.8582
Cu 0.3942 0.2115 0.5000
Cu 0.4558 0.7285 0.1401
Cu 0.5442 0.2715 0.8599
Cu 0.6058 0.7885 0.5000
Cu 0.6566 0.3291 0.1418
Cu 0.7438 0.8724 0.8598
Cu 0.8010 0.3960 0.5000
Cu 0.8568 0.9281 0.1411
Cu 0.9433 0.4723 0.8582
O 0.0469 0.0235 0.1178
O 0.0519 0.2760 0.8808
O 0.0638 0.0319 0.6597
O 0.1000 0.8070 0.5000
O 0.1349 0.5690 0.3402
O 0.1485 0.3233 0.1197
O 0.1529 0.5763 0.8822
O 0.2471 0.6235 0.1179
O 0.2526 0.8760 0.8803
O 0.2625 0.6329 0.6597
O 0.2943 0.4122 0.5001
O 0.3466 0.1563 0.3479
O 0.3472 0.9232 0.1176
O 0.3530 0.1764 0.8821
O 0.4476 0.2238 0.1179
O 0.4528 0.4752 0.8805
O 0.4682 0.2172 0.6521
O 0.5318 0.7828 0.3479
O 0.5472 0.5248 0.1195
O 0.5524 0.7762 0.8821
O 0.6470 0.8236 0.1179
O 0.6528 0.0768 0.8824
O 0.6534 0.8437 0.6521
O 0.7057 0.5878 0.4999
O 0.7375 0.3671 0.3403
O 0.7474 0.1240 0.1197
O 0.7529 0.3765 0.8821
O 0.8471 0.4237 0.1178
O 0.8515 0.6767 0.8803
O 0.8651 0.4310 0.6598
O 0.9000 0.1930 0.5000
O 0.9362 0.9681 0.3403
O 0.9481 0.7240 0.1192
O 0.9531 0.9765 0.8822



No. 3
The following is a PBE-GGA calculation of Rb2Mg2Be3F12 after structural relaxation, from the Materials Project.

Output
Formation energy in eV/atom: -3.5788
Total energy in eV per atom: -5.36
Density in g/cm3: 3.1
Space-group type: P2_13

Cell: 10.1044 10.1044 10.1044 Å, 90.00 90.00 90.00°
Positions (direct):
Rb 0.0486 0.0486 0.0486
Rb 0.1838 0.3162 0.6838
Rb 0.3162 0.6838 0.1838
Rb 0.4514 0.9514 0.5486
Rb 0.5486 0.4514 0.9514
Rb 0.6838 0.1838 0.3162
Rb 0.8162 0.8162 0.8162
Rb 0.9514 0.5486 0.4514
Mg 0.0987 0.9013 0.4013
Mg 0.1653 0.6653 0.8347
Mg 0.3347 0.3347 0.3347
Mg 0.4013 0.0987 0.9013
Mg 0.5987 0.5987 0.5987
Mg 0.6653 0.8347 0.1653
Mg 0.8347 0.1653 0.6653
Mg 0.9013 0.4013 0.0987
Be 0.0196 0.2152 0.3757
Be 0.1243 0.9804 0.7152
Be 0.2152 0.3757 0.0196
Be 0.2848 0.6243 0.5196
Be 0.3757 0.0196 0.2152
Be 0.4804 0.7848 0.8757
Be 0.5196 0.2848 0.6243
Be 0.6243 0.5196 0.2848
Be 0.7152 0.1243 0.9804
Be 0.7848 0.8757 0.4804
Be 0.8757 0.4804 0.7848
Be 0.9804 0.7152 0.1243
F 0.0056 0.5634 0.7677
F 0.0134 0.0675 0.3316
F 0.0457 0.8068 0.2319
F 0.0634 0.7323 0.9944
F 0.0675 0.3316 0.0134
F 0.1000 0.8352 0.7575
F 0.1648 0.2575 0.4000
F 0.1684 0.9866 0.5675
F 0.1932 0.7319 0.4543
F 0.2319 0.0457 0.8068
F 0.2323 0.5056 0.9366
F 0.2425 0.6000 0.6648
F 0.2575 0.4000 0.1648
F 0.2677 0.4944 0.4366
F 0.2681 0.9543 0.3068
F 0.3068 0.2681 0.9543
F 0.3316 0.0134 0.0675
F 0.3352 0.7425 0.9000
F 0.4000 0.1648 0.2575
F 0.4325 0.6684 0.5134
F 0.4366 0.2677 0.4944
F 0.4543 0.1932 0.7319
F 0.4866 0.9325 0.8316
F 0.4944 0.4366 0.2677
F 0.5056 0.9366 0.2323
F 0.5134 0.4325 0.6684
F 0.5457 0.6932 0.7681
F 0.5634 0.7677 0.0056
F 0.5675 0.1684 0.9866
F 0.6000 0.6648 0.2425
F 0.6648 0.2425 0.6000
F 0.6684 0.5134 0.4325
F 0.6932 0.7681 0.5457
F 0.7319 0.4543 0.1932
F 0.7323 0.9944 0.0634
F 0.7425 0.9000 0.3352
F 0.7575 0.1000 0.8352
F 0.7677 0.0056 0.5634
F 0.7681 0.5457 0.6932
F 0.8068 0.2319 0.0457
F 0.8316 0.4866 0.9325
F 0.8352 0.7575 0.1000
F 0.9000 0.3352 0.7425
F 0.9325 0.8316 0.4866
F 0.9366 0.2323 0.5056
F 0.9543 0.3068 0.2681
F 0.9866 0.5675 0.1684
F 0.9944 0.0634 0.7323



No. 4
The following is a PBE-GGA calculation of Ti5CoSb2 after structural relaxation, from the Materials Project.

Output
Formation energy in eV/atom: -0.5003
Total energy in eV per atom: -7.31
Density in g/cm3: 6.5
Space-group type: I4/mcm

Cell: 7.8445 7.8445 7.8445 Å, 95.93 95.93 142.49°
Positions (direct):
Ti 0.0704 0.7996 0.8700
Ti 0.2004 0.0704 0.2709
Ti 0.2500 0.7500 0.5000
Ti 0.2996 0.5704 0.8700
Ti 0.4296 0.2996 0.7291
Ti 0.5704 0.7004 0.2709
Ti 0.7004 0.4296 0.1300
Ti 0.7500 0.2500 0.5000
Ti 0.7996 0.9296 0.7291
Ti 0.9296 0.2004 0.1300
Co 0.2500 0.2500 0.0000
Co 0.7500 0.7500 0.0000
Sb 0.1646 0.3354 0.5000
Sb 0.3354 0.8354 0.1708
Sb 0.6646 0.1646 0.8292
Sb 0.8354 0.6646 0.5000



No. 5
The following is a PBE-GGA calculation of Mg3ZnO4 after structural relaxation, from the Materials Project.

Output
Formation energy in eV/atom: -2.7018
Total energy in eV per atom: -5.59
Offset from the most stable computed form in meV/atom: 3.5
Density in g/cm3: 4.3
Space-group type: R-3m

Cell: 10.0098 10.0098 10.0098 Å, 17.39 17.39 17.39°
Positions (direct):
Mg 0.0000 0.0000 0.0000
Mg 0.2502 0.2502 0.2502
Mg 0.7498 0.7498 0.7498
Zn 0.5000 0.5000 0.5000
O 0.1235 0.1235 0.1235
O 0.3749 0.3749 0.3749
O 0.6251 0.6251 0.6251
O 0.8765 0.8765 0.8765



No. 6
The following is a PBE-GGA calculation of ErTa5Ag2O15 after structural relaxation, from the Materials Project.

Output
Formation energy in eV/atom: -2.9941
Total energy in eV per atom: -8.80
Density in g/cm3: 8.2
Space-group type: P4/mbm

Cell: 12.5934 12.5934 3.9163 Å, 90.00 90.00 90.00°
Positions (direct):
Er 0.0000 0.0000 0.0000
Er 0.5000 0.5000 0.0000
Ta 0.0000 0.5000 0.5000
Ta 0.0786 0.2108 0.5000
Ta 0.2108 0.9214 0.5000
Ta 0.2892 0.4214 0.5000
Ta 0.4214 0.7108 0.5000
Ta 0.5000 0.0000 0.5000
Ta 0.5786 0.2892 0.5000
Ta 0.7108 0.5786 0.5000
Ta 0.7892 0.0786 0.5000
Ta 0.9214 0.7892 0.5000
Ag 0.1721 0.6721 0.0000
Ag 0.3279 0.1721 0.0000
Ag 0.6721 0.8279 0.0000
Ag 0.8279 0.3279 0.0000
O 0.0000 0.5000 0.0000
O 0.0008 0.6591 0.5000
O 0.0566 0.8704 0.5000
O 0.0797 0.1880 0.0000
O 0.1296 0.0566 0.5000
O 0.1591 0.5008 0.5000
O 0.1880 0.9203 0.0000
O 0.2246 0.2754 0.5000
O 0.2754 0.7754 0.5000
O 0.3120 0.4203 0.0000
O 0.3409 0.0008 0.5000
O 0.3704 0.5566 0.5000
O 0.4203 0.6880 0.0000
O 0.4434 0.3704 0.5000
O 0.4992 0.1591 0.5000
O 0.5000 0.0000 0.0000
O 0.5008 0.8409 0.5000
O 0.5566 0.6296 0.5000
O 0.5797 0.3120 0.0000
O 0.6296 0.4434 0.5000
O 0.6591 0.9992 0.5000
O 0.6880 0.5797 0.0000
O 0.7246 0.2246 0.5000
O 0.7754 0.7246 0.5000
O 0.8120 0.0797 0.0000
O 0.8409 0.4992 0.5000
O 0.8704 0.9434 0.5000
O 0.9203 0.8120 0.0000
O 0.9434 0.1296 0.5000
O 0.9992 0.3409 0.5000



No. 7
The following is a PBE-GGA calculation of UCuSn after structural relaxation, from the Materials Project.

Output
Formation energy in eV/atom: -0.0507
Total energy in eV per atom: -6.52
Density in g/cm3: 11.4
Space-group type: P6_3/mmc

Cell: 4.9189 4.9189 5.8328 Å, 90.00 90.00 120.00°
Positions (direct):
U 0.0000 0.0000 0.0000
U 0.0000 0.0000 0.5000
Cu 0.3333 0.6667 0.2500
Cu 0.6667 0.3333 0.7500
Sn 0.3333 0.6667 0.7500
Sn 0.6667 0.3333 0.2500



No. 8
The following is a PBE-GGA calculation of BeP2 after structural relaxation, from the Materials Project.

Output
Formation energy in eV/atom: -0.3208
Total energy in eV per atom: -5.18
Offset from the most stable computed form in meV/atom: 0.0
Density in g/cm3: 2.5
Space-group type: C2/c

Cell: 7.1110 7.1110 7.9379 Å, 102.91 102.91 90.00°
Positions (direct):
Be 0.1030 0.7302 0.9235
Be 0.2691 0.3903 0.5732
Be 0.2698 0.8970 0.5765
Be 0.3903 0.2691 0.0732
Be 0.6097 0.7309 0.9268
Be 0.7302 0.1030 0.4235
Be 0.7309 0.6097 0.4268
Be 0.8970 0.2698 0.0765
P 0.0668 0.4422 0.7472
P 0.0677 0.9323 0.7500
P 0.1022 0.2299 0.9166
P 0.2299 0.1022 0.4166
P 0.2312 0.6073 0.4210
P 0.3927 0.7688 0.0790
P 0.4422 0.0668 0.2472
P 0.4428 0.5572 0.2500
P 0.5572 0.4428 0.7500
P 0.5578 0.9332 0.7528
P 0.6073 0.2312 0.9210
P 0.7688 0.3927 0.5790
P 0.7701 0.8978 0.5834
P 0.8978 0.7701 0.0834
P 0.9323 0.0677 0.2500
P 0.9332 0.5578 0.2528



No. 9
The following is a PBE-GGA calculation of KC2 after structural relaxation, from the Materials Project.

Output
Formation energy in eV/atom: 1.2965
Total energy in eV per atom: -5.23
Offset from the most stable computed form in meV/atom: 11.4
Density in g/cm3: 1.5
Space-group type: C2/c

Cell: 4.6062 4.6062 7.9551 Å, 104.54 104.54 63.02°
Positions (direct):
K 0.1837 0.8163 0.7500
K 0.8163 0.1837 0.2500
C 0.1224 0.4270 0.0550
C 0.4270 0.1224 0.5550
C 0.5730 0.8776 0.4450
C 0.8776 0.5730 0.9450



No. 10
The following is a PBE-GGA calculation of Fe4W2N after structural relaxation, from the Materials Project.

Output
Formation energy in eV/atom: -0.0475
Total energy in eV per atom: -9.73
Density in g/cm3: 12.4
Space-group type: Cm

Cell: 7.6932 7.6932 7.7050 Å, 119.60 119.60 60.03°
Positions (direct):
Fe 0.0000 0.0000 0.0000
Fe 0.0009 0.0009 0.3220
Fe 0.0006 0.3176 0.3234
Fe 0.0252 0.6312 0.6886
Fe 0.0301 0.0301 0.6922
Fe 0.0886 0.4094 0.9098
Fe 0.2036 0.2036 0.1108
Fe 0.2074 0.2074 0.6200
Fe 0.2070 0.7015 0.1118
Fe 0.3176 0.0006 0.3234
Fe 0.4060 0.4060 0.9105
Fe 0.4094 0.0886 0.9098
Fe 0.4112 0.4112 0.2388
Fe 0.6312 0.0252 0.6886
Fe 0.6319 0.6319 0.2975
Fe 0.7015 0.2070 0.1118
W 0.0278 0.6310 0.2966
W 0.3747 0.7751 0.9342
W 0.3778 0.3778 0.5494
W 0.3825 0.7881 0.5427
W 0.6310 0.0278 0.2966
W 0.7751 0.3747 0.9342
W 0.7823 0.7823 0.9321
W 0.7881 0.3825 0.5427
N 0.1968 0.7094 0.6151
N 0.7022 0.7022 0.1161
N 0.7094 0.1968 0.6151
N 0.7088 0.7088 0.6061



No. 11
The following is a PBE-GGA calculation of LiPb3 after structural relaxation, from the Materials Project.

Output
Formation energy in eV/atom: 0.2723
Total energy in eV per atom: -2.99
Density in g/cm3: 7.5
Space-group type: P4/mmm

Cell: 5.2086 5.2086 5.1223 Å, 90.00 90.00 90.00°
Positions (direct):
Li 0.0000 0.0000 0.0000
Pb 0.0000 0.0000 0.5000
Pb 0.0000 0.5000 0.0000
Pb 0.5000 0.0000 0.0000



No. 12
The following is a PBE-GGA calculation of LaTeCl after structural relaxation, from the Materials Project.

Output
Formation energy in eV/atom: -2.1730
Total energy in eV per atom: -5.28
Offset from the most stable computed form in meV/atom: 0.0
Density in g/cm3: 5.8
Space-group type: Pnma

Cell: 8.0057 4.5333 9.4547 Å, 90.00 90.00 90.00°
Positions (direct):
La 0.2384 0.2500 0.1316
La 0.2616 0.7500 0.6316
La 0.7384 0.2500 0.3684
La 0.7616 0.7500 0.8684
Te 0.0383 0.7500 0.3318
Te 0.4617 0.2500 0.8318
Te 0.5383 0.7500 0.1682
Te 0.9617 0.2500 0.6682
Cl 0.1350 0.7500 0.9396
Cl 0.3650 0.2500 0.4396
Cl 0.6350 0.7500 0.5604
Cl 0.8650 0.2500 0.0604



No. 13
The following is a PBE-GGA calculation of CsPb3 after structural relaxation, from the Materials Project.

Output
Formation energy in eV/atom: -0.0984
Total energy in eV per atom: -3.11
Density in g/cm3: 7.3
Space-group type: P6_3/mmc

Cell: 8.2754 8.2754 5.7588 Å, 90.00 90.00 120.00°
Positions (direct):
Cs 0.3333 0.6667 0.2500
Cs 0.6667 0.3333 0.7500
Pb 0.1295 0.2589 0.7500
Pb 0.1295 0.8705 0.7500
Pb 0.2589 0.1295 0.2500
Pb 0.7411 0.8705 0.7500
Pb 0.8705 0.1295 0.2500
Pb 0.8705 0.7411 0.2500



No. 14
The following is a PBE-GGA calculation of B2O3 after structural relaxation, from the Materials Project.

Output
Formation energy in eV/atom: -2.7981
Maximum piezoelectric response in C/m2: 0.273
Total energy in eV per atom: -8.03
Density in g/cm3: 2.3
Space-group type: P3_121

Cell: 4.4026 4.4026 8.8153 Å, 90.00 90.00 120.00°
Positions (direct):
B 0.1849 0.4028 0.3908
B 0.2178 0.8151 0.0574
B 0.4028 0.1849 0.6092
B 0.5972 0.7822 0.7241
B 0.7822 0.5972 0.2759
B 0.8151 0.2178 0.9426
O 0.0000 0.8211 0.1667
O 0.1246 0.5338 0.9624
O 0.1789 0.1789 0.5000
O 0.4092 0.8754 0.6291
O 0.4662 0.5908 0.2958
O 0.5338 0.1246 0.0376
O 0.5908 0.4662 0.7042
O 0.8211 0.0000 0.8333
O 0.8754 0.4092 0.3709